No. 1
Below is a geometry-optimized Nb6OsAu structure, with properties calculated at the r²SCAN level.

```
Nb6OsAu
1.0
5.202 0.000 0.000
0.000 5.202 0.000
0.000 0.000 5.202
Os Nb Au
1 6 1
Direct
0.000 0.000 0.000
0.500 0.755 0.000
0.000 0.500 0.245
0.500 0.245 0.000
0.245 0.000 0.500
0.755 0.000 0.500
0.000 0.500 0.755
0.500 0.500 0.500
```

SG   Pm-3 (200)

No. 2
Below is a geometry-optimized Nb6PtAu structure, with properties calculated at the r²SCAN level.

```
Nb6PtAu
1.0
5.217 0.000 0.000
0.000 5.217 0.000
0.000 0.000 5.217
Nb Au Pt
6 1 1
Direct
0.500 0.754 0.000
0.246 0.000 0.500
0.000 0.500 0.754
0.500 0.246 0.000
0.754 0.000 0.500
0.000 0.500 0.246
0.500 0.500 0.500
0.000 0.000 0.000
```

SG   Pm-3 (200)

No. 3
Below is a geometry-optimized NdAu6 structure, with properties calculated at the r²SCAN level.

```
NdAu6
1.0
1.109 -5.081 1.884
5.410 1.145 -0.098
0.861 2.227 8.865
Au Nd
12 2
Direct
0.958 0.843 0.138
0.157 0.042 0.362
0.219 0.388 0.079
0.781 0.612 0.921
0.165 0.539 0.372
0.843 0.958 0.638
0.388 0.219 0.579
0.461 0.835 0.128
0.612 0.781 0.421
0.042 0.157 0.862
0.539 0.165 0.872
0.835 0.461 0.628
0.684 0.316 0.250
0.316 0.684 0.750
```

SG   C2/c (15)

No. 4
Below is a geometry-optimized Nd3Au4 structure, with properties calculated at the r²SCAN level.

```
Nd3Au4
1.0
-7.070 -0.139 -4.264
6.673 1.579 -4.600
0.922 -6.352 5.195
Au Nd
8 6
Direct
0.769 0.930 0.437
0.500 0.500 0.500
0.437 0.769 0.930
0.231 0.070 0.563
0.930 0.437 0.769
0.563 0.231 0.070
0.000 0.000 0.000
0.070 0.563 0.231
0.600 0.983 0.727
0.400 0.017 0.273
0.017 0.273 0.400
0.273 0.400 0.017
0.983 0.727 0.600
0.727 0.600 0.983
```

SG   R-3 (148)

Calculated E, -31.714, -31.586, -48.032, -42.414 eV per atom (same order as the records).
Calculated E_form, -217, -276, -471, -900 meV per atom (same order as the records).
Calculated total magnetization, 0.0, 0.0, 0.0, 0.0 μB per formula unit (same order as the records).